In4GeS4 r²SCAN optimized geometry; total DFT energy (no corrections) = -1.1594 Ry/atom; space-group type = Pa-3, No. 205; magnetization = 0.00 μB per formula unit
1.0
12.304 0.000 0.000
0.000 12.304 0.000
0.000 0.000 12.304
Ge S In
8 32 32
direct
0.601 0.601 0.601 Ge
0.101 0.899 0.399 Ge
0.399 0.399 0.399 Ge
0.101 0.601 0.899 Ge
0.399 0.101 0.899 Ge
0.601 0.899 0.101 Ge
0.899 0.399 0.101 Ge
0.899 0.101 0.601 Ge
0.923 0.923 0.923 S
0.923 0.577 0.423 S
0.423 0.753 0.331 S
0.423 0.923 0.577 S
0.753 0.169 0.923 S
0.169 0.923 0.753 S
0.577 0.253 0.169 S
0.423 0.577 0.077 S
0.753 0.331 0.423 S
0.253 0.169 0.577 S
0.669 0.577 0.247 S
0.169 0.577 0.253 S
0.923 0.753 0.169 S
0.577 0.247 0.669 S
0.831 0.077 0.247 S
0.831 0.423 0.747 S
0.669 0.923 0.747 S
0.077 0.077 0.077 S
0.247 0.669 0.577 S
0.077 0.247 0.831 S
0.923 0.747 0.669 S
0.577 0.077 0.423 S
0.077 0.423 0.577 S
0.253 0.331 0.077 S
0.331 0.423 0.753 S
0.423 0.747 0.831 S
0.077 0.253 0.331 S
0.747 0.831 0.423 S
0.247 0.831 0.077 S
0.577 0.423 0.923 S
0.747 0.669 0.923 S
0.331 0.077 0.253 S
0.226 0.965 0.560 In
0.535 0.060 0.226 In
0.224 0.724 0.776 In
0.560 0.226 0.965 In
0.035 0.060 0.274 In
0.060 0.226 0.535 In
0.560 0.274 0.465 In
0.724 0.776 0.224 In
0.965 0.940 0.726 In
0.274 0.035 0.060 In
0.726 0.535 0.440 In
0.940 0.726 0.965 In
0.535 0.440 0.726 In
0.060 0.274 0.035 In
0.440 0.774 0.035 In
0.465 0.940 0.774 In
0.940 0.774 0.465 In
0.776 0.224 0.724 In
0.226 0.535 0.060 In
0.276 0.224 0.776 In
0.726 0.965 0.940 In
0.440 0.726 0.535 In
0.774 0.035 0.440 In
0.965 0.560 0.226 In
0.724 0.724 0.724 In
0.274 0.465 0.560 In
0.774 0.465 0.940 In
0.276 0.276 0.276 In
0.776 0.276 0.224 In
0.224 0.776 0.276 In
0.465 0.560 0.274 In
0.035 0.440 0.774 In